Run a
First-principles (GGA-PBE) data for an optimized crystal structure of TaCr3Cu2S8, as listed in Materials Project. Values from VASP.

Quantum ESPRESSO input file:
```
&SYSTEM
  ibrav = 0, nat = 14, ntyp = 4
/
ATOMIC_SPECIES
Cu 63.55 Cu.upf
S 32.06 S.upf
Cr 52.00 Cr.upf
Ta 180.95 Ta.upf
CELL_PARAMETERS angstrom
3.5646 5.9977 0.0000
-3.5646 5.9977 0.0000
0.0000 3.9121 5.7809
ATOMIC_POSITIONS angstrom
Cu 2.6124 9.9741 3.6284
Cu 2.6124 5.9334 2.1525
S -2.6109 7.0250 1.4657
S -0.8298 3.9444 1.3398
S -0.8700 9.8184 1.3823
S -0.8298 11.9631 4.4410
S -2.6109 8.8825 4.3151
S 0.8010 8.8336 4.3864
S -0.8700 6.0891 4.3986
S 0.8010 7.0739 1.3944
Cr 0.9381 9.0295 0.0064
Cr -0.8550 7.9537 2.8904
Cr 0.9381 6.8780 5.7745
Ta -1.0091 5.9977 0.0000
```

Calculated values
calculated volume	17.7	Å³ per atom
magnetic moment	0.642	μB/atom

---

Run b
First-principles (GGA-PBE) data for an optimized crystal structure of TaCr3Cu2S8, as listed in Materials Project. Values from VASP.

Quantum ESPRESSO input file:
```
&SYSTEM
  ibrav = 0, nat = 28, ntyp = 4
/
ATOMIC_SPECIES
S 32.06 S.upf
Cr 52.00 Cr.upf
Ta 180.95 Ta.upf
Cu 63.55 Cu.upf
CELL_PARAMETERS angstrom
-2.1730 4.9965 2.4361
-3.2468 -3.7279 4.7499
6.6682 -2.9086 11.9135
ATOMIC_POSITIONS angstrom
S -0.9869 -2.6645 9.5499
S -2.0545 -1.1157 5.1764
S 2.2354 1.0245 9.5496
S 0.4465 2.6276 7.1481
S 2.5067 -2.4344 9.5675
S 3.3030 -0.5243 13.9231
S 0.7388 -0.8403 7.1032
S 5.2155 -2.1262 11.4961
S 3.5538 -4.0583 13.8319
S 1.6499 -2.5156 16.2883
S -3.9670 0.4862 7.6034
S 0.8020 -4.2676 11.9514
S 0.5097 -0.7996 11.9963
S -2.3053 2.4183 5.2676
S -1.2583 0.7945 9.5321
S -0.4015 0.8756 2.8112
Cr 2.2476 1.0440 7.1748
Cr 0.3960 2.5895 9.6071
Cr 0.8524 -4.2295 9.4925
Cr -1.0865 2.4983 1.2181
Cr 2.0306 -0.7265 17.8662
Cr -0.7821 -0.9135 1.2333
Ta -2.7099 0.6343 3.5930
Ta 0.6242 -0.8200 9.5498
Cu -0.0203 -2.4441 5.4250
Cu 1.2687 0.8041 13.6745
Cu 4.2352 -0.4201 9.7939
Cu 0.2601 2.5081 4.5557
```

Calculated values
calculated volume	17.9	Å³ per atom
magnetic moment	0.643	μB/atom

---

Which structure loses on stability? run b does.

---

Run a
First-principles (GGA-PBE) data for an optimized crystal structure of CrCuSe2, as listed in Materials Project. Values from VASP.

Quantum ESPRESSO input file:
```
&SYSTEM
  ibrav = 0, nat = 4, ntyp = 3
/
ATOMIC_SPECIES
Cu 63.55 Cu.upf
Se 78.96 Se.upf
Cr 52.00 Cr.upf
CELL_PARAMETERS angstrom
-3.0427 -1.5055 -1.5894
0.1174 -1.1340 -3.5709
0.8953 -6.6642 0.1783
ATOMIC_POSITIONS angstrom
Cu -2.1241 -5.1174 -4.3470
Se -1.4365 -7.2438 -3.6492
Se -0.5383 -2.2308 -1.2767
Cr 0.8917 -6.6531 0.1747
```

Calculated values
largest piezoelectric modulus	0.2	C/m2
calculated volume	19.4	Å³ per atom
magnetic moment	0.750	μB/atom

---

Run b
First-principles (GGA-PBE) data for an optimized crystal structure of CrCuSe2, as listed in Materials Project. Values from VASP.

Quantum ESPRESSO input file:
```
&SYSTEM
  ibrav = 0, nat = 4, ntyp = 3
/
ATOMIC_SPECIES
Cu 63.55 Cu.upf
Se 78.96 Se.upf
Cr 52.00 Cr.upf
CELL_PARAMETERS angstrom
-2.2192 1.3566 -6.6186
-4.3556 -1.3481 -5.4572
-5.0898 2.0852 -4.5073
ATOMIC_POSITIONS angstrom
Cu -3.0095 0.5402 -4.2785
Se -1.6680 0.2994 -2.3713
Se -11.5384 2.0709 -16.4036
Cr -8.6298 1.5489 -12.2686
```

Calculated values
calculated volume	19.5	Å³ per atom
magnetic moment	0.750	μB/atom

---

Which structure loses on stability? run b does.

---

Run a
First-principles (GGA-PBE) data for an optimized crystal structure of Mg14CrFe, as listed in Materials Project. Values from VASP.

Quantum ESPRESSO input file:
```
&SYSTEM
  ibrav = 0, nat = 16, ntyp = 3
/
ATOMIC_SPECIES
Mg 24.30 Mg.upf
Fe 55.84 Fe.upf
Cr 52.00 Cr.upf
CELL_PARAMETERS angstrom
6.2320 0.0873 0.0000
-3.0404 5.2662 0.0000
0.0000 0.0000 9.8354
ATOMIC_POSITIONS angstrom
Mg 3.1280 1.8020 6.1471
Mg 0.0357 1.7760 6.1471
Mg 3.2258 3.6178 3.6352
Mg 0.0029 3.5046 3.4575
Mg 0.0029 3.5046 8.8368
Mg -1.4789 4.4124 6.1471
Mg 1.6621 4.4558 1.2294
Mg 1.5163 0.8833 3.4575
Mg 4.7597 0.9926 3.5738
Mg 3.1697 1.8446 1.2294
Mg 1.6044 4.4410 6.1471
Mg 4.7597 0.9926 8.7205
Mg 1.5163 0.8833 8.8368
Mg 3.2258 3.6178 8.6590
Fe -0.0260 1.7404 1.2294
Cr -1.5721 4.3586 1.2294
```

Calculated values
calculated volume	20.3	Å³ per atom
magnetic moment	0.003	μB/atom

---

Run b
First-principles (GGA-PBE) data for an optimized crystal structure of Mg14CrFe, as listed in Materials Project. Values from VASP.

Quantum ESPRESSO input file:
```
&SYSTEM
  ibrav = 0, nat = 16, ntyp = 3
/
ATOMIC_SPECIES
Mg 24.30 Mg.upf
Cr 52.00 Cr.upf
Fe 55.84 Fe.upf
CELL_PARAMETERS angstrom
-3.5923 -4.6448 -2.3578
6.1956 0.1654 -1.2748
1.8040 -5.4848 8.0564
ATOMIC_POSITIONS angstrom
Mg 4.7899 -1.3215 -0.4480
Mg -0.3821 -8.7188 4.8640
Mg -1.2971 -5.9368 0.7776
Mg 2.9933 -3.6445 -1.6272
Mg 2.7155 -8.5601 4.2353
Mg 3.9039 -6.3827 2.4020
Mg 0.5659 -3.5279 2.0004
Mg 3.5484 -3.4483 1.3868
Mg 1.4810 -6.3099 6.0868
Mg 0.7905 -6.4658 3.0426
Mg 1.8132 -5.8168 0.2059
Mg 5.6910 -4.0720 3.5750
Mg -0.1038 -3.7272 -0.9899
Mg 4.4635 -6.2303 5.4731
Cr 2.5940 -4.1470 4.2174
Fe 1.6920 -1.4046 0.1892
```

Calculated values
calculated volume	21.5	Å³ per atom
magnetic moment	0.436	μB/atom

---

Which structure loses on stability? run a does.

---

Run a
First-principles (GGA-PBE) data for an optimized crystal structure of Cr3GaS6, as listed in Materials Project. Values from VASP.

Quantum ESPRESSO input file:
```
&SYSTEM
  ibrav = 0, nat = 120, ntyp = 3
/
ATOMIC_SPECIES
Ga 69.72 Ga.upf
S 32.06 S.upf
Cr 52.00 Cr.upf
CELL_PARAMETERS angstrom
-0.4305 5.8639 3.8829
2.4766 0.0328 6.5961
52.4444 32.6175 13.9062
ATOMIC_POSITIONS angstrom
Ga 36.9597 24.1339 12.2651
Ga 29.1325 18.1203 7.7278
Ga 42.7895 27.7609 13.8135
Ga 31.1055 20.5010 10.7302
Ga 7.7981 6.0047 4.5491
Ga 19.4373 13.2487 7.6464
Ga 13.5924 9.6183 6.1068
Ga 23.3072 14.4968 6.1820
Ga 48.5865 31.3725 15.3639
Ga 37.0245 27.6474 19.7451
Ga 25.2811 16.8779 9.1844
Ga 17.4740 10.8705 4.6388
S 40.6232 29.9636 16.6377
S 5.7177 5.3346 5.3376
S 37.7864 28.1096 15.6891
S 50.7227 35.5540 22.0604
S 23.1917 16.2042 9.9751
S 52.2937 37.2284 19.7071
S 8.6647 9.9840 7.9589
S 9.9367 10.1862 11.2431
S 46.4931 30.6996 16.1607
S 14.4900 13.6138 9.5045
S 40.6741 27.0774 14.6112
S 14.6894 10.9146 7.7175
S 7.0191 5.5167 8.6105
S 27.4787 18.1779 13.8436
S 2.8579 6.3539 6.4072
S 29.0173 19.8279 11.5208
S 17.3684 12.5816 8.4293
S 18.6738 12.7942 11.7011
S 11.5428 8.9582 6.8836
S 34.8456 23.4532 13.0671
S 32.1694 21.7884 12.3565
S 34.8047 26.3411 15.0928
S 4.1022 6.5596 9.7007
S 9.9987 7.3079 9.2041
S 49.4492 35.3505 18.7793
S 46.4603 33.6256 18.1497
S 8.8625 7.2934 6.1776
S 31.9710 24.4830 14.1402
S 26.3410 18.1634 10.8111
S 21.6540 14.5529 12.2992
S 21.6124 17.4413 14.3249
S 20.3158 17.2372 11.0503
S 47.8326 30.8728 19.4312
S 18.4758 15.4850 13.4818
S 49.6471 32.6599 16.9940
S 4.1833 3.6956 7.6441
S 15.8289 10.9288 10.7536
S 5.6648 8.2330 7.3465
S 37.9863 25.4067 13.9003
S 24.4896 16.4118 13.2507
S 20.5152 14.5394 9.2646
S 30.3147 20.0351 14.7964
S 17.3393 15.4710 10.4555
S 39.1273 25.4205 16.9404
S 39.0867 28.3115 18.9631
S 47.6047 33.6117 21.2283
S 33.3074 21.8028 15.3875
S 15.7840 13.8169 12.7801
S 53.6457 34.5169 20.9690
S 12.8483 9.1573 10.1551
S 11.5048 11.8520 8.9013
S 24.2913 19.1070 15.0344
S 3.0527 3.6789 4.6351
S 41.7645 29.9823 19.6849
S 35.9436 26.3554 18.1272
S 53.4441 37.2427 22.7744
S 52.2574 34.3034 17.7288
S 28.9779 22.7161 13.5488
S 6.8178 8.2479 10.4193
S 36.1425 23.6580 16.3413
S 44.9632 29.0453 18.4869
S 12.6499 11.8676 11.9498
S 44.8821 31.9322 20.5357
S 30.1161 22.7303 16.5807
S 43.8190 29.0361 15.4510
S 33.2697 24.6908 17.4146
S 26.1421 20.8590 12.5962
S 50.7821 32.6771 20.0232
S 27.4395 21.0654 15.8701
S 43.6195 31.7405 17.2330
S 23.1529 19.0928 12.0033
S 41.9627 27.2767 17.8878
Cr 16.7777 10.2206 8.6690
Cr 2.0447 4.1516 6.7304
Cr 42.7213 29.4878 17.5973
Cr 51.6421 35.0273 19.9438
Cr 34.0623 24.0731 15.2381
Cr 9.4800 9.6208 5.6648
Cr 26.9890 20.4306 10.3983
Cr 34.2773 21.1424 13.2975
Cr 45.7738 31.4025 18.4415
Cr 28.2279 20.4467 13.6959
Cr 16.5579 13.2107 10.6493
Cr 5.1237 2.9366 5.5774
Cr 38.6859 27.7295 13.4169
Cr 48.4831 33.0765 19.1361
Cr 22.6174 13.8916 10.2095
Cr 39.9615 27.7462 16.8113
Cr 25.3155 18.6350 12.9230
Cr 22.4023 16.8225 12.1494
Cr 10.7895 9.6385 9.1526
Cr 21.1640 16.8068 8.8531
Cr 11.0170 6.5382 7.0994
Cr 40.1823 24.7275 14.8136
Cr 32.8245 24.0566 11.9415
Cr 3.6173 5.9579 4.1718
Cr 50.3299 35.0085 16.4591
Cr 13.5211 11.3415 9.8859
Cr 15.2949 13.1939 7.2856
Cr 4.8996 5.9767 7.5941
Cr 36.9836 25.8882 16.0089
Cr 44.4597 31.3761 14.8969
Cr 31.1421 22.2590 14.4684
Cr 51.8661 31.9273 17.8929
Cr 46.0105 28.2655 16.3437
Cr 28.4428 17.5144 11.7551
Cr 19.4944 15.0127 11.3755
Cr 7.6327 7.6972 8.3629
```

Calculated values
calculated volume	18.5	Å³ per atom
magnetic moment	0.781	μB/atom

---

Run b
First-principles (GGA-PBE) data for an optimized crystal structure of Cr3GaS6, as listed in Materials Project. Values from VASP.

Quantum ESPRESSO input file:
```
&SYSTEM
  ibrav = 0, nat = 40, ntyp = 3
/
ATOMIC_SPECIES
Cr 52.00 Cr.upf
Ga 69.72 Ga.upf
S 32.06 S.upf
CELL_PARAMETERS angstrom
-6.7518 -1.6320 1.3196
2.9522 -1.8681 -6.1470
4.9996 -15.0455 6.9735
ATOMIC_POSITIONS angstrom
Cr -0.9628 -5.7802 -2.7721
Cr 2.3531 -4.9787 -3.4202
Cr 1.0446 -8.9265 3.2144
Cr -2.5314 -9.7909 3.9133
Cr 1.9170 -5.7689 2.6738
Cr 2.4130 -14.8591 3.6964
Cr -0.9678 -10.7803 0.6576
Cr -0.0791 -2.4013 -3.3745
Cr -0.8716 -15.6531 4.3384
Cr 0.0534 -12.4556 3.8109
Cr 0.9032 -4.0612 -0.4013
Cr 0.9768 -13.9503 6.6868
Ga 4.9980 -15.0408 6.9713
Ga 3.0394 -11.7860 0.9752
Ga -1.8393 -6.7598 1.1710
Ga -3.1034 -2.9559 -0.5922
S 3.0821 -9.2749 4.2989
S 1.9735 -2.9253 -2.2295
S 3.7575 -8.7657 -1.7798
S 3.7228 -13.8426 1.9284
S 1.1224 -6.0171 -1.6986
S 0.6744 -2.0296 0.9407
S -2.2277 -7.0157 -1.1326
S 0.1344 -9.6415 -1.0717
S 2.0840 -12.8978 4.9205
S 4.6239 -15.3368 4.6908
S 1.0814 -11.0990 2.0182
S 0.3322 -14.5115 2.6948
S 5.9855 -16.1984 1.8555
S -2.0305 -11.8512 2.6264
S -1.1746 -8.7600 2.0980
S -3.8212 -6.0074 2.1853
S -1.0289 -13.6502 5.5289
S 0.2265 -4.5345 -4.4491
S -0.1768 -5.1265 1.4730
S -0.2793 -10.2380 4.8514
S 1.2282 -15.9909 5.4495
S 2.8714 -16.9511 2.4642
S -1.1309 -3.6756 -1.6228
S 2.1733 -7.7633 1.5188
```

Calculated values
calculated volume	18.7	Å³ per atom

---

Which structure loses on stability? run a does.

---

Run a
First-principles (GGA-PBE) data for an optimized crystal structure of LaMg14Cr, as listed in Materials Project. Values from VASP.

Quantum ESPRESSO input file:
```
&SYSTEM
  ibrav = 0, nat = 16, ntyp = 3
/
ATOMIC_SPECIES
Mg 24.30 Mg.upf
Cr 52.00 Cr.upf
La 138.91 La.upf
CELL_PARAMETERS angstrom
6.5595 0.1051 0.0000
-3.1887 5.5230 0.0000
0.0000 0.0000 10.3817
ATOMIC_POSITIONS angstrom
Mg 3.2582 1.8082 1.2977
Mg 4.9157 0.9971 4.0142
Mg 0.0346 1.8610 6.4885
Mg 4.9157 0.9971 8.9629
Mg 0.0693 3.7683 9.0265
Mg 1.7038 0.9374 3.9506
Mg 3.4013 3.8047 9.2297
Mg 1.7038 0.9374 9.0265
Mg 1.6007 4.6790 1.2977
Mg 3.4013 3.8047 3.7474
Mg 1.7225 4.6546 6.4885
Mg -1.5803 4.6106 6.4885
Mg 0.0693 3.7683 3.9506
Mg 3.2979 1.9259 6.4885
Cr -1.5145 4.6486 1.2977
La -0.0329 1.8220 1.2977
```

Calculated values
calculated volume	23.7	Å³ per atom
magnetic moment	0.245	μB/atom

---

Run b
First-principles (GGA-PBE) data for an optimized crystal structure of LaMg14Cr, as listed in Materials Project. Values from VASP.

Quantum ESPRESSO input file:
```
&SYSTEM
  ibrav = 0, nat = 16, ntyp = 3
/
ATOMIC_SPECIES
Mg 24.30 Mg.upf
Cr 52.00 Cr.upf
La 138.91 La.upf
CELL_PARAMETERS angstrom
6.5557 0.0000 0.0000
-3.2778 5.6774 0.0000
0.0000 0.0000 10.3172
ATOMIC_POSITIONS angstrom
Mg 4.9144 0.9449 8.9211
Mg -1.6417 4.7296 6.4482
Mg 4.9144 0.9449 3.9753
Mg 0.0000 3.7877 8.9211
Mg 3.2778 3.7849 3.8091
Mg 1.6413 0.9449 8.9211
Mg 1.6417 4.7296 6.4482
Mg 1.5844 4.7626 1.2896
Mg 0.0000 3.7877 3.9753
Mg 3.2778 3.7849 9.0874
Mg 3.2779 1.8295 1.2896
Mg 3.2778 1.8956 6.4482
Mg 1.6413 0.9449 3.9753
Mg -1.5844 4.7626 1.2896
Cr 0.0000 1.8925 6.4482
La 0.0000 1.8925 1.2896
```

Calculated values
calculated volume	24.0	Å³ per atom
magnetic moment	0.284	μB/atom

---

Which structure loses on stability? run b does.

---

Run a
First-principles (GGA-PBE) data for an optimized crystal structure of Mg6CrMo, as listed in Materials Project. Values from VASP.

Quantum ESPRESSO input file:
```
&SYSTEM
  ibrav = 0, nat = 16, ntyp = 3
/
ATOMIC_SPECIES
Mg 24.30 Mg.upf
Cr 52.00 Cr.upf
Mo 95.94 Mo.upf
CELL_PARAMETERS angstrom
4.7441 0.0000 0.0000
0.0000 5.9688 0.0000
0.0000 0.0000 11.0220
ATOMIC_POSITIONS angstrom
Mg 0.0000 4.4138 0.8735
Mg 2.3720 4.5144 10.1669
Mg 2.3720 1.5300 4.6559
Mg 0.0000 2.9844 9.1325
Mg 0.0000 1.5550 0.8735
Mg 2.3720 0.0000 1.8805
Mg 0.0000 4.5394 6.3845
Mg 0.0000 0.0000 3.6216
Mg 0.0000 1.4294 6.3845
Mg 2.3720 2.9844 7.3915
Mg 2.3720 4.4388 4.6559
Mg 2.3720 1.4544 10.1669
Cr 0.0000 0.0000 8.8644
Cr 0.0000 2.9844 3.3534
Mo 2.3720 2.9844 2.1297
Mo 2.3720 0.0000 7.6407
```

Calculated values
calculated volume	19.5	Å³ per atom
magnetic moment	0.292	μB/atom

---

Run b
First-principles (GGA-PBE) data for an optimized crystal structure of Mg6CrMo, as listed in Materials Project. Values from VASP.

Quantum ESPRESSO input file:
```
&SYSTEM
  ibrav = 0, nat = 16, ntyp = 3
/
ATOMIC_SPECIES
Mg 24.30 Mg.upf
Cr 52.00 Cr.upf
Mo 95.94 Mo.upf
CELL_PARAMETERS angstrom
4.9302 0.0000 0.0000
0.0000 5.9502 0.0000
0.0000 0.0000 10.7602
ATOMIC_POSITIONS angstrom
Mg 2.4651 1.4918 4.5088
Mg 0.0000 1.5172 0.9433
Mg 0.0000 0.0000 3.4967
Mg 2.4651 4.4585 4.5088
Mg 0.0000 4.4330 0.9433
Mg 0.0000 1.4579 6.3234
Mg 0.0000 0.0000 8.8608
Mg 0.0000 2.9751 8.8768
Mg 0.0000 2.9751 3.4807
Mg 2.4651 1.4833 9.8889
Mg 2.4651 4.4669 9.8889
Mg 0.0000 4.4923 6.3234
Cr 2.4651 0.0000 1.8016
Cr 2.4651 2.9751 7.1817
Mo 2.4651 2.9751 1.8370
Mo 2.4651 0.0000 7.2171
```

Calculated values
calculated volume	19.7	Å³ per atom
magnetic moment	0.305	μB/atom

---

Which structure loses on stability? run b does.